# 1
A plane-wave DFT calculation with PBE was carried out for an optimized crystal structure of BaAgP.

Cell and atoms, written as POSCAR:
```
BaAgP
1.0
4.5320 0.0000 0.0000
-2.2660 3.9248 0.0000
0.0000 0.0000 9.0380
Ba Ag P
2 2 2
direct
0.0000 0.0000 0.0000 Ba
0.0000 0.0000 0.5000 Ba
0.3333 0.6667 0.2500 Ag
0.6667 0.3333 0.7500 Ag
0.3333 0.6667 0.7500 P
0.6667 0.3333 0.2500 P
```

---

# 2
A plane-wave DFT calculation with PBE was carried out for an optimized crystal structure of Ba2Ag8S7.

Cell and atoms, written as POSCAR:
```
Ba2Ag8S7
1.0
16.1502 0.0000 0.0000
0.0000 10.9939 0.0000
0.0000 0.0000 4.4396
Ba Ag S
4 16 14
direct
0.1369 0.1229 0.0000 Ba
0.3631 0.8771 0.5000 Ba
0.6369 0.8771 0.5000 Ba
0.8631 0.1229 0.0000 Ba
0.0000 0.4224 0.9905 Ag
0.0000 0.8123 0.9149 Ag
0.1048 0.5212 0.4955 Ag
0.1440 0.8033 0.5089 Ag
0.2098 0.6317 0.9985 Ag
0.2902 0.3683 0.4985 Ag
0.3560 0.1967 0.0089 Ag
0.3952 0.4788 0.9955 Ag
0.5000 0.1877 0.4149 Ag
0.5000 0.5776 0.4905 Ag
0.6048 0.4788 0.9955 Ag
0.6440 0.1967 0.0089 Ag
0.7098 0.3683 0.4985 Ag
0.7902 0.6317 0.9985 Ag
0.8560 0.8033 0.5089 Ag
0.8952 0.5212 0.4955 Ag
0.0000 0.0044 0.4994 S
0.0000 0.2009 0.5052 S
0.0000 0.7010 0.4029 S
0.1519 0.4230 0.9865 S
0.2213 0.8543 0.0005 S
0.2787 0.1457 0.5005 S
0.3481 0.5770 0.4865 S
0.5000 0.2990 0.9029 S
0.5000 0.7991 0.0052 S
0.5000 0.9956 0.9994 S
0.6519 0.5770 0.4865 S
0.7213 0.1457 0.5005 S
0.7787 0.8543 0.0005 S
0.8481 0.4230 0.9865 S
```

---

# 3
A plane-wave DFT calculation with PBE was carried out for an optimized crystal structure of BaSc3AgS6.

Cell and atoms, written as POSCAR:
```
BaSc3AgS6
1.0
16.3274 0.0000 0.0000
0.0000 11.2322 0.0000
0.0000 0.0000 11.0216
Ba Sc Ag S
8 24 8 48
direct
0.2037 0.0557 0.2342 Ba
0.2037 0.4443 0.2342 Ba
0.2963 0.5557 0.7342 Ba
0.2963 0.9443 0.7342 Ba
0.7037 0.0557 0.2658 Ba
0.7037 0.4443 0.2658 Ba
0.7963 0.5557 0.7658 Ba
0.7963 0.9443 0.7658 Ba
0.0249 0.2500 0.6394 Sc
0.0342 0.5833 0.6411 Sc
0.0342 0.9167 0.6411 Sc
0.0863 0.0856 0.9217 Sc
0.0863 0.4144 0.9217 Sc
0.0931 0.7500 0.9301 Sc
0.4069 0.2500 0.4301 Sc
0.4137 0.5856 0.4217 Sc
0.4137 0.9144 0.4217 Sc
0.4658 0.0833 0.1411 Sc
0.4658 0.4167 0.1411 Sc
0.4751 0.7500 0.1394 Sc
0.5249 0.2500 0.8606 Sc
0.5342 0.5833 0.8589 Sc
0.5342 0.9167 0.8589 Sc
0.5863 0.0856 0.5783 Sc
0.5863 0.4144 0.5783 Sc
0.5931 0.7500 0.5699 Sc
0.9069 0.2500 0.0699 Sc
0.9137 0.5856 0.0783 Sc
0.9137 0.9144 0.0783 Sc
0.9658 0.0833 0.3589 Sc
0.9658 0.4167 0.3589 Sc
0.9751 0.7500 0.3606 Sc
0.1768 0.7500 0.4508 Ag
0.2117 0.2500 0.5432 Ag
0.2883 0.7500 0.0432 Ag
0.3232 0.2500 0.9508 Ag
0.6768 0.7500 0.0492 Ag
0.7117 0.2500 0.9568 Ag
0.7883 0.7500 0.4568 Ag
0.8232 0.2500 0.5492 Ag
0.0145 0.0837 0.1351 S
0.0145 0.4163 0.1351 S
0.0191 0.7500 0.1366 S
0.0727 0.2500 0.4092 S
0.0753 0.5787 0.4142 S
0.0753 0.9213 0.4142 S
0.1311 0.0882 0.6989 S
0.1311 0.4118 0.6989 S
0.1371 0.7500 0.7035 S
0.1789 0.2500 0.0101 S
0.1894 0.5781 0.9791 S
0.1894 0.9219 0.9791 S
0.3106 0.0781 0.4791 S
0.3106 0.4219 0.4791 S
0.3211 0.7500 0.5101 S
0.3629 0.2500 0.2035 S
0.3689 0.5882 0.1989 S
0.3689 0.9118 0.1989 S
0.4247 0.0787 0.9142 S
0.4247 0.4213 0.9142 S
0.4273 0.7500 0.9092 S
0.4809 0.2500 0.6366 S
0.4855 0.5837 0.6351 S
0.4855 0.9163 0.6351 S
0.5145 0.0837 0.3649 S
0.5145 0.4163 0.3649 S
0.5191 0.7500 0.3634 S
0.5727 0.2500 0.0908 S
0.5753 0.5787 0.0858 S
0.5753 0.9213 0.0858 S
0.6311 0.0882 0.8011 S
0.6311 0.4118 0.8011 S
0.6371 0.7500 0.7965 S
0.6789 0.2500 0.4899 S
0.6894 0.5781 0.5209 S
0.6894 0.9219 0.5209 S
0.8106 0.0781 0.0209 S
0.8106 0.4219 0.0209 S
0.8211 0.7500 0.9899 S
0.8629 0.2500 0.2965 S
0.8689 0.5882 0.3011 S
0.8689 0.9118 0.3011 S
0.9247 0.0787 0.5858 S
0.9247 0.4213 0.5858 S
0.9273 0.7500 0.5908 S
0.9809 0.2500 0.8634 S
0.9855 0.5837 0.8649 S
0.9855 0.9163 0.8649 S
```

---

# 4
A plane-wave DFT calculation with PBE was carried out for an optimized crystal structure of Ba9U4Ag10S24.

Cell and atoms, written as POSCAR:
```
Ba9U4Ag10S24
1.0
-7.0551 7.0551 12.0675
7.0551 -7.0551 12.0675
7.0551 7.0551 -12.0675
Ba U Ag S
18 8 20 48
direct
0.0370 0.7612 0.1797 Ba
0.0476 0.2294 0.2770 Ba
0.0815 0.2612 0.7242 Ba
0.1588 0.1588 0.0000 Ba
0.2294 0.9524 0.1818 Ba
0.2612 0.5370 0.1797 Ba
0.2706 0.4524 0.7230 Ba
0.3573 0.0815 0.8203 Ba
0.4524 0.7294 0.1818 Ba
0.5370 0.3573 0.2758 Ba
0.5476 0.2706 0.8182 Ba
0.5815 0.8573 0.8203 Ba
0.6588 0.6588 0.0000 Ba
0.7294 0.5476 0.2770 Ba
0.7612 0.5815 0.7242 Ba
0.7706 0.0476 0.8182 Ba
0.8573 0.0370 0.2758 Ba
0.9524 0.7706 0.7230 Ba
0.3977 0.8977 0.5000 U
0.4045 0.4129 0.5000 U
0.4061 0.4061 0.0000 U
0.4129 0.9129 0.0084 U
0.8977 0.3977 0.5000 U
0.9045 0.4045 0.9916 U
0.9061 0.9061 0.0000 U
0.9129 0.9045 0.5000 U
0.0813 0.5813 0.5000 Ag
0.0830 0.5830 0.8544 Ag
0.1563 0.4470 0.2897 Ag
0.1573 0.8666 0.7103 Ag
0.2221 0.7221 0.8651 Ag
0.2285 0.0830 0.5000 Ag
0.2451 0.7451 0.5000 Ag
0.3570 0.2221 0.5000 Ag
0.3666 0.6573 0.7103 Ag
0.4470 0.1573 0.2907 Ag
0.5813 0.0813 0.5000 Ag
0.5830 0.7285 0.5000 Ag
0.6563 0.3666 0.7093 Ag
0.6573 0.9470 0.2907 Ag
0.7221 0.8570 0.5000 Ag
0.7285 0.2285 0.1456 Ag
0.7451 0.2451 0.5000 Ag
0.8570 0.3570 0.1349 Ag
0.8666 0.1563 0.7093 Ag
0.9470 0.6563 0.2897 Ag
0.0086 0.7497 0.9463 S
0.0122 0.0122 0.0000 S
0.0302 0.3319 0.9208 S
0.0344 0.2714 0.5000 S
0.0623 0.0086 0.2589 S
0.0668 0.5668 0.6677 S
0.0790 0.5790 0.2316 S
0.1094 0.0302 0.6983 S
0.2070 0.9072 0.9309 S
0.2252 0.4706 0.5000 S
0.2285 0.9155 0.5000 S
0.2497 0.5086 0.9463 S
0.2714 0.7714 0.2370 S
0.2761 0.2070 0.2998 S
0.2998 0.2998 0.0000 S
0.3034 0.2497 0.7411 S
0.3319 0.4111 0.3017 S
0.3473 0.8473 0.7684 S
0.3991 0.0668 0.5000 S
0.4072 0.7070 0.9309 S
0.4111 0.1094 0.0792 S
0.4155 0.7285 0.5000 S
0.4706 0.9706 0.2454 S
0.4763 0.4072 0.7002 S
0.5086 0.5623 0.2589 S
0.5122 0.5122 0.0000 S
0.5302 0.6094 0.6983 S
0.5344 0.0344 0.7630 S
0.5623 0.3034 0.0537 S
0.5668 0.8991 0.5000 S
0.5790 0.3473 0.5000 S
0.6094 0.9111 0.0792 S
0.7070 0.7761 0.2998 S
0.7252 0.2252 0.7546 S
0.7285 0.2285 0.3130 S
0.7497 0.8034 0.7411 S
0.7714 0.5344 0.5000 S
0.7761 0.4763 0.0691 S
0.7998 0.7998 0.0000 S
0.8034 0.0623 0.0537 S
0.8319 0.5302 0.9208 S
0.8473 0.0790 0.5000 S
0.8991 0.3991 0.3323 S
0.9072 0.9763 0.7002 S
0.9111 0.8319 0.3017 S
0.9155 0.4155 0.6870 S
0.9706 0.7252 0.5000 S
0.9763 0.2761 0.0691 S
```

---

# 5
A plane-wave DFT calculation with PBE was carried out for an optimized crystal structure of Ba2YAg5S6.

Cell and atoms, written as POSCAR:
```
Ba2YAg5S6
1.0
7.0384 -2.1154 0.0000
7.0384 2.1154 0.0000
-0.9878 0.0000 11.2259
Ba Y Ag S
2 1 5 6
direct
0.2486 0.2486 0.2964 Ba
0.7514 0.7514 0.7036 Ba
0.0000 0.0000 0.5000 Y
0.1484 0.1484 0.9624 Ag
0.4813 0.4813 0.7436 Ag
0.5000 0.5000 0.0000 Ag
0.5187 0.5187 0.2564 Ag
0.8516 0.8516 0.0376 Ag
0.0866 0.0866 0.7348 S
0.3419 0.3419 0.8978 S
0.3747 0.3747 0.5456 S
0.6253 0.6253 0.4544 S
0.6581 0.6581 0.1022 S
0.9134 0.9134 0.2652 S
```

---

# 6
A plane-wave DFT calculation with PBE was carried out for an optimized crystal structure of BaAgSb.

Cell and atoms, written as POSCAR:
```
BaAgSb
1.0
4.9112 0.0000 0.0000
-2.4556 4.2532 0.0000
0.0000 0.0000 9.3862
Ba Ag Sb
2 2 2
direct
0.0000 0.0000 0.0000 Ba
0.0000 0.0000 0.5000 Ba
0.3333 0.6667 0.2500 Ag
0.6667 0.3333 0.7500 Ag
0.3333 0.6667 0.7500 Sb
0.6667 0.3333 0.2500 Sb
```

---

These records have formation energy values of -0.727, -0.747, -2.009, -1.526, -1.248, -0.849 eV/atom, in the order they appear.
These records have VASP energy values of -24.7, -129.3, -541.1, -499.4, -63.7, -22.5 eV per cell, in the order they appear.
These records have calculated volume values of 26.79, 23.18, 22.97, 25.56, 23.88, 32.68 A^3/atom, in the order they appear.